Entry 1:
The following is a PBE calculation of crystalline Zn3Sb2H42S8N14 at its relaxed geometry, from the Materials Project database.

Cell lengths 8.155, 8.697, 13.520 Å; angles 84.22, 88.37, 74.35 degrees
Atoms (fractional coordinates):
Zn  0.000  0.000  0.000
Zn  0.358  0.270  0.535
Zn  0.642  0.730  0.465
Sb  0.272  0.332  0.269
Sb  0.728  0.668  0.731
H  0.067  0.672  0.056
H  0.080  0.284  0.033
H  0.084  0.187  0.601
H  0.095  0.964  0.807
H  0.115  0.510  0.597
H  0.120  0.699  0.938
H  0.143  0.128  0.488
H  0.156  0.120  0.834
H  0.176  0.552  0.480
H  0.196  0.448  0.798
H  0.229  0.854  0.145
H  0.244  0.023  0.590
H  0.273  0.024  0.104
H  0.276  0.938  0.865
H  0.292  0.568  0.576
H  0.311  0.374  0.899
H  0.335  0.865  0.040
H  0.378  0.488  0.814
H  0.390  0.728  0.352
H  0.426  0.906  0.333
H  0.448  0.252  0.719
H  0.552  0.748  0.281
H  0.574  0.094  0.667
H  0.610  0.272  0.648
H  0.622  0.512  0.186
H  0.665  0.135  0.960
H  0.689  0.626  0.101
H  0.708  0.432  0.424
H  0.724  0.062  0.135
H  0.727  0.976  0.896
H  0.756  0.977  0.410
H  0.771  0.146  0.855
H  0.804  0.552  0.202
H  0.824  0.448  0.520
H  0.844  0.880  0.166
H  0.857  0.872  0.512
H  0.880  0.301  0.062
H  0.885  0.490  0.403
H  0.905  0.036  0.193
H  0.916  0.813  0.399
H  0.920  0.716  0.967
H  0.933  0.328  0.944
S  0.094  0.163  0.309
S  0.126  0.603  0.288
S  0.400  0.300  0.113
S  0.495  0.748  0.612
S  0.505  0.252  0.388
S  0.600  0.700  0.887
S  0.874  0.397  0.712
S  0.906  0.837  0.691
N  0.028  0.740  0.990
N  0.153  0.006  0.860
N  0.186  0.137  0.558
N  0.218  0.502  0.550
N  0.238  0.928  0.082
N  0.318  0.399  0.824
N  0.485  0.785  0.344
N  0.515  0.215  0.656
N  0.682  0.601  0.176
N  0.762  0.072  0.918
N  0.782  0.498  0.450
N  0.814  0.863  0.442
N  0.847  0.994  0.140
N  0.972  0.260  0.010

Properties
Energy with MP2020 corrections   -4.9121 eV/atom
ΔH_f (0 K)   -34.60 eV/f.u.
Symmetry   P-1, No. 2
Spin magnetization   0.1 Bohr magnetons per cell


Entry 2:
The following is a PBE calculation of crystalline ZnSb4H18S7N6 at its relaxed geometry, from the Materials Project database.

Cell lengths 7.314, 12.111, 13.060 Å; angles 103.34, 90.13, 99.82 degrees
Atoms (fractional coordinates):
Zn  0.173  0.244  0.348
Zn  0.827  0.756  0.652
Sb  0.191  0.225  0.820
Sb  0.259  0.520  0.998
Sb  0.285  0.700  0.279
Sb  0.386  0.881  0.054
Sb  0.614  0.119  0.946
Sb  0.715  0.300  0.721
Sb  0.741  0.480  0.002
Sb  0.809  0.775  0.180
H  0.030  0.151  0.145
H  0.032  0.648  0.771
H  0.064  0.931  0.592
H  0.074  0.448  0.332
H  0.115  0.312  0.559
H  0.116  0.639  0.652
H  0.131  0.055  0.182
H  0.153  0.812  0.558
H  0.177  0.891  0.682
H  0.178  0.428  0.511
H  0.257  0.163  0.142
H  0.267  0.060  0.419
H  0.337  0.357  0.539
H  0.411  0.435  0.319
H  0.419  0.090  0.334
H  0.436  0.173  0.455
H  0.470  0.648  0.634
H  0.472  0.322  0.238
H  0.528  0.678  0.762
H  0.530  0.352  0.366
H  0.564  0.827  0.545
H  0.581  0.910  0.666
H  0.589  0.565  0.681
H  0.663  0.643  0.461
H  0.733  0.940  0.581
H  0.743  0.837  0.858
H  0.822  0.572  0.489
H  0.823  0.109  0.318
H  0.847  0.188  0.442
H  0.869  0.945  0.818
H  0.884  0.361  0.348
H  0.885  0.688  0.441
H  0.926  0.552  0.668
H  0.936  0.069  0.408
H  0.968  0.352  0.229
H  0.970  0.849  0.855
S  0.030  0.641  0.977
S  0.058  0.835  0.333
S  0.279  0.427  0.806
S  0.306  0.642  0.440
S  0.349  0.952  0.889
S  0.432  0.143  0.703
S  0.465  0.283  0.022
S  0.535  0.717  0.978
S  0.568  0.857  0.297
S  0.651  0.048  0.111
S  0.694  0.358  0.560
S  0.721  0.573  0.194
S  0.942  0.165  0.667
S  0.970  0.359  0.023
N  0.004  0.365  0.308
N  0.086  0.861  0.617
N  0.145  0.141  0.185
N  0.204  0.347  0.509
N  0.344  0.127  0.394
N  0.427  0.351  0.312
N  0.573  0.649  0.688
N  0.656  0.873  0.606
N  0.796  0.653  0.491
N  0.855  0.859  0.815
N  0.914  0.139  0.383
N  0.996  0.635  0.692

Properties
Energy with MP2020 corrections   -4.8884 eV/atom
ΔH_f (0 K)   -18.16 eV/f.u.
Symmetry   P-1, No. 2
Spin magnetization   0.3 Bohr magnetons per cell


Entry 3:
The following is a PBE calculation of crystalline ZnTeH12Se3N4 at its relaxed geometry, from the Materials Project database.

Cell lengths 13.618, 6.798, 13.381 Å; angles 90.00, 90.00, 90.00 degrees
Atoms (fractional coordinates):
Zn  0.225  0.027  0.000
Zn  0.275  0.027  0.500
Zn  0.725  0.973  0.000
Zn  0.775  0.973  0.500
Te  0.054  0.611  0.299
Te  0.446  0.611  0.799
Te  0.554  0.389  0.299
Te  0.946  0.389  0.799
H  0.080  0.256  0.046
H  0.097  0.132  0.534
H  0.099  0.730  0.979
H  0.103  0.108  0.142
H  0.103  0.886  0.526
H  0.127  0.998  0.632
H  0.172  0.303  0.123
H  0.188  0.090  0.816
H  0.190  0.079  0.331
H  0.200  0.663  0.038
H  0.200  0.691  0.914
H  0.250  0.286  0.351
H  0.250  0.286  0.851
H  0.300  0.663  0.538
H  0.300  0.691  0.414
H  0.310  0.079  0.831
H  0.312  0.090  0.316
H  0.328  0.303  0.623
H  0.373  0.998  0.132
H  0.397  0.108  0.642
H  0.397  0.886  0.026
H  0.401  0.730  0.479
H  0.403  0.132  0.034
H  0.420  0.256  0.546
H  0.580  0.744  0.046
H  0.597  0.868  0.534
H  0.599  0.270  0.979
H  0.603  0.114  0.526
H  0.603  0.892  0.142
H  0.627  0.002  0.632
H  0.672  0.697  0.123
H  0.688  0.910  0.816
H  0.690  0.921  0.331
H  0.700  0.309  0.914
H  0.700  0.337  0.038
H  0.750  0.714  0.351
H  0.750  0.714  0.851
H  0.800  0.309  0.414
H  0.800  0.337  0.538
H  0.810  0.921  0.831
H  0.812  0.910  0.316
H  0.828  0.697  0.623
H  0.873  0.002  0.132
H  0.897  0.114  0.026
H  0.897  0.892  0.642
H  0.901  0.270  0.479
H  0.903  0.868  0.034
H  0.920  0.744  0.546
Se  0.009  0.972  0.293
Se  0.064  0.533  0.484
Se  0.230  0.599  0.238
Se  0.270  0.599  0.738
Se  0.436  0.533  0.984
Se  0.491  0.972  0.793
Se  0.509  0.028  0.293
Se  0.564  0.467  0.484
Se  0.730  0.401  0.238
Se  0.770  0.401  0.738
Se  0.936  0.467  0.984
Se  0.991  0.028  0.793
N  0.136  0.010  0.557
N  0.136  0.191  0.087
N  0.174  0.748  0.981
N  0.245  0.136  0.860
N  0.255  0.136  0.360
N  0.326  0.748  0.481
N  0.364  0.010  0.057
N  0.364  0.191  0.587
N  0.636  0.809  0.087
N  0.636  0.990  0.557
N  0.674  0.252  0.981
N  0.745  0.864  0.860
N  0.755  0.864  0.360
N  0.826  0.252  0.481
N  0.864  0.809  0.587
N  0.864  0.990  0.057

Properties
Energy with MP2020 corrections   -4.6546 eV/atom
ΔH_f (0 K)   -8.80 eV/f.u.
Symmetry   Pca2_1, No. 29
Spin magnetization   0.0 Bohr magnetons per cell


Question: The highest ΔH_f (0 K) belongs to which entry?
Answer: ZnTeH12Se3N4


Question: The lowest spin magnetization belongs to which entry?
Answer: ZnTeH12Se3N4